The following is a DFT calculation (PBE) of crystalline Rb2TmAuCl6 at its relaxed geometry.

Cell: 7.572 7.572 7.572 Å, 60.00 60.00 60.00°
Fractional positions:
Rb: 0.750 0.750 0.750
Rb: 0.250 0.250 0.250
Tm: 0.000 0.000 0.000
Au: 0.500 0.500 0.500
Cl: 0.757 0.243 0.243
Cl: 0.243 0.243 0.757
Cl: 0.243 0.757 0.757
Cl: 0.243 0.757 0.243
Cl: 0.757 0.243 0.757
Cl: 0.757 0.757 0.243

Calculated values
Energy of formation in kJ per mole of atoms: -197.2
Corrected total energy (MP2020 scheme) in eV per cell: -41.236